MgAg2O4 after structural relaxation. Source: the Materials Project, functional PBE.

Results
volume	162.5	Å³/cell
calculated density	6.2	g/cm³
energy of formation from the pure elements	-1.0083	eV/atom
energy relative to the lowest polymorph listed for this composition	0.071	eV per atom
space group	No. 63

Unit cell a=5.5300 b=5.5300 c=9.8821 alpha=90.00 beta=90.00 gamma=147.46
Atoms (fractional coordinates):
Mg  0.1094  0.8906  0.7500
Mg  0.8906  0.1094  0.2500
Ag  0.3686  0.6314  0.5728
Ag  0.3686  0.6314  0.9272
Ag  0.6314  0.3686  0.0728
Ag  0.6314  0.3686  0.4272
O  0.0000  0.0000  0.0000
O  0.0000  0.0000  0.5000
O  0.2890  0.7110  0.1215
O  0.2890  0.7110  0.3785
O  0.4749  0.5251  0.7500
O  0.5251  0.4749  0.2500
O  0.7110  0.2890  0.6215
O  0.7110  0.2890  0.8785